Ce2HfSe5: optimized geometry, GGA-PBE.

CIF file:
```
data_Ce2HfSe5
_chemical_formula_sum 'Ce8 Hf4 Se20'
_cell_length_a 7.708
_cell_length_b 8.450
_cell_length_c 11.971
_cell_angle_alpha 90.00
_cell_angle_beta 90.00
_cell_angle_gamma 90.00
_symmetry_space_group_name_H-M 'P 1'
_symmetry_Int_Tables_number 1
_symmetry_space_group_name_Hall 'P 1'
loop_
_atom_site_label
_atom_site_fract_x
_atom_site_fract_y
_atom_site_fract_z
Ce1 0.552 0.501 0.674
Ce2 0.052 0.499 0.826
Ce3 0.948 0.999 0.174
Ce4 0.448 0.001 0.326
Ce5 0.448 0.499 0.326
Ce6 0.948 0.501 0.174
Ce7 0.052 0.001 0.826
Ce8 0.552 0.999 0.674
Hf1 0.075 0.250 0.509
Hf2 0.575 0.750 0.991
Hf3 0.425 0.250 0.009
Hf4 0.925 0.750 0.491
Se1 0.335 0.250 0.791
Se2 0.835 0.750 0.709
Se3 0.165 0.250 0.291
Se4 0.665 0.750 0.209
Se5 0.055 0.250 0.006
Se6 0.555 0.750 0.494
Se7 0.445 0.250 0.506
Se8 0.945 0.750 0.994
Se9 0.853 0.250 0.690
Se10 0.353 0.750 0.810
Se11 0.647 0.250 0.190
Se12 0.147 0.750 0.310
Se13 0.676 0.462 0.923
Se14 0.176 0.538 0.577
Se15 0.824 0.038 0.423
Se16 0.324 0.962 0.077
Se17 0.324 0.538 0.077
Se18 0.824 0.462 0.423
Se19 0.176 0.962 0.577
Se20 0.676 0.038 0.923
```

Output
total energy	-209.90	eV for the cell shown
SG	Pnma
ρ	7.27	g/cm³
ΔH_f (0 K)	-1941	meV/atom
total energy after the MP2020 corrections	-6.854	eV/atom

=====

Ce3Hg: optimized geometry, GGA-PBE.

CIF file:
```
data_Ce3Hg
_chemical_formula_sum 'Ce3 Hg1'
_cell_length_a 5.893
_cell_length_b 5.893
_cell_length_c 5.893
_cell_angle_alpha 133.22
_cell_angle_beta 133.22
_cell_angle_gamma 68.31
_symmetry_space_group_name_H-M 'P 1'
_symmetry_Int_Tables_number 1
_symmetry_space_group_name_Hall 'P 1'
loop_
_atom_site_label
_atom_site_fract_x
_atom_site_fract_y
_atom_site_fract_z
Ce1 0.750 0.250 0.500
Ce2 0.250 0.750 0.500
Ce3 0.500 0.500 0.000
Hg1 0.000 0.000 0.000
```

Output
total energy	-18.51	eV for the cell shown
SG	I4/mmm
ρ	9.66	g/cm³
ΔH_f (0 K)	-101	meV/atom

=====

CeHg2: optimized geometry, GGA-PBE.

CIF file:
```
data_CeHg2
_chemical_formula_sum 'Ce1 Hg2'
_cell_length_a 3.402
_cell_length_b 5.092
_cell_length_c 5.092
_cell_angle_alpha 120.00
_cell_angle_beta 90.00
_cell_angle_gamma 90.00
_symmetry_space_group_name_H-M 'P 1'
_symmetry_Int_Tables_number 1
_symmetry_space_group_name_Hall 'P 1'
loop_
_atom_site_label
_atom_site_fract_x
_atom_site_fract_y
_atom_site_fract_z
Ce1 0.000 0.000 0.000
Hg1 0.500 0.333 0.667
Hg2 0.500 0.667 0.333
```

Output
total energy	-7.65	eV for the cell shown
SG	P6/mmm
ρ	11.76	g/cm³
ΔH_f (0 K)	-370	meV/atom

=====

CeHg3: optimized geometry, GGA-PBE.

CIF file:
```
data_CeHg3
_chemical_formula_sum 'Ce2 Hg6'
_cell_length_a 6.870
_cell_length_b 6.870
_cell_length_c 5.061
_cell_angle_alpha 90.00
_cell_angle_beta 90.00
_cell_angle_gamma 120.00
_symmetry_space_group_name_H-M 'P 1'
_symmetry_Int_Tables_number 1
_symmetry_space_group_name_Hall 'P 1'
loop_
_atom_site_label
_atom_site_fract_x
_atom_site_fract_y
_atom_site_fract_z
Ce1 0.333 0.667 0.250
Ce2 0.667 0.333 0.750
Hg1 0.836 0.164 0.250
Hg2 0.836 0.672 0.250
Hg3 0.328 0.164 0.250
Hg4 0.164 0.836 0.750
Hg5 0.164 0.328 0.750
Hg6 0.672 0.836 0.750
```

Output
total energy	-16.21	eV for the cell shown
SG	P6_3/mmc
ρ	11.91	g/cm³
ΔH_f (0 K)	-315	meV/atom